Record 1
First-principles (meta-GGA r2SCAN) data for an optimized crystal structure of Li2NiPO4F, as listed in the Materials Project.

abc: 6.266 10.376 10.758
angles: 90.00 90.00 90.00
Atoms (fractional coordinates):
O: 0.750 0.891 0.556
Ni: 0.500 0.500 0.500
O: 0.549 0.190 0.986
Ni: 0.500 0.500 0.000
F: 0.750 0.129 0.527
O: 0.250 0.109 0.444
Li: 0.507 0.238 0.667
O: 0.049 0.810 0.014
Li: 0.007 0.262 0.167
P: 0.750 0.244 0.922
P: 0.250 0.477 0.756
Ni: 0.500 0.000 0.500
O: 0.750 0.216 0.782
O: 0.951 0.690 0.514
Ni: 0.000 0.500 0.000
Li: 0.250 0.727 0.582
Li: 0.007 0.762 0.333
Li: 0.750 0.773 0.082
Li: 0.493 0.262 0.167
O: 0.549 0.690 0.514
O: 0.552 0.465 0.181
O: 0.951 0.190 0.986
O: 0.948 0.965 0.319
Li: 0.993 0.238 0.667
P: 0.250 0.977 0.744
Li: 0.750 0.026 0.726
O: 0.750 0.472 0.380
O: 0.250 0.284 0.282
F: 0.750 0.951 0.882
O: 0.250 0.609 0.056
F: 0.250 0.871 0.473
O: 0.750 0.716 0.718
O: 0.250 0.028 0.880
Ni: 0.000 0.500 0.500
F: 0.250 0.549 0.382
Li: 0.250 0.227 0.918
O: 0.448 0.535 0.819
Li: 0.750 0.526 0.774
O: 0.250 0.830 0.743
F: 0.250 0.371 0.027
O: 0.250 0.528 0.620
O: 0.052 0.035 0.681
Li: 0.993 0.738 0.833
O: 0.250 0.784 0.218
F: 0.750 0.629 0.973
O: 0.052 0.535 0.819
O: 0.448 0.035 0.681
O: 0.750 0.972 0.120
O: 0.552 0.965 0.319
O: 0.948 0.465 0.181
Ni: 0.500 0.000 0.000
Ni: 0.000 0.000 0.000
O: 0.451 0.310 0.486
Ni: 0.000 0.000 0.500
O: 0.049 0.310 0.486
Li: 0.250 0.974 0.274
P: 0.750 0.523 0.244
P: 0.250 0.256 0.422
Li: 0.250 0.474 0.226
F: 0.250 0.049 0.118
O: 0.750 0.391 0.944
Li: 0.507 0.738 0.833
P: 0.750 0.744 0.578
P: 0.250 0.756 0.078
O: 0.750 0.170 0.257
O: 0.451 0.810 0.014
Li: 0.493 0.762 0.333
O: 0.250 0.330 0.757
F: 0.750 0.451 0.618
Li: 0.750 0.273 0.418
P: 0.750 0.023 0.256
O: 0.750 0.670 0.243

Output
Crystal system: orthorhombic
Energy relative to the elements in meV/atom: -2428

***

Record 2
First-principles (meta-GGA r2SCAN) data for an optimized crystal structure of LiV2OF5, as listed in the Materials Project.

abc: 5.069 5.414 16.786
angles: 84.82 82.40 62.37
Atoms (fractional coordinates):
Li: 0.497 0.688 0.309
F: 0.803 0.195 0.435
F: 0.711 0.736 0.476
V: 0.481 0.515 0.495
F: 0.952 0.594 0.845
F: 0.778 0.154 0.908
V: 0.659 0.598 0.127
F: 0.160 0.812 0.565
F: 0.728 0.321 0.587
O: 0.029 0.404 0.160
F: 0.526 0.532 0.780
F: 0.922 0.547 0.314
V: 0.373 0.402 0.875
F: 0.684 0.290 0.063
Li: 0.274 0.419 0.056
F: 0.482 0.468 0.228
V: 0.245 0.252 0.243
V: 0.733 0.766 0.742
V: 0.023 0.977 0.998
F: 0.787 0.753 0.024
F: 0.311 0.255 0.531
F: 0.570 0.934 0.184
F: 0.053 0.459 0.684
O: 0.500 0.924 0.663
Li: 0.625 0.806 0.919
Li: 0.736 0.953 0.559
F: 0.447 0.050 0.826
O: 0.261 0.664 0.412
F: 0.074 0.992 0.278
V: 0.137 0.120 0.630
F: 0.487 0.056 0.337
F: 0.247 0.206 0.976
F: 0.948 0.989 0.722
V: 0.899 0.860 0.377
F: 0.237 0.792 0.095
O: 0.297 0.682 0.938

Output
Crystal system: triclinic
Energy relative to the elements in meV/atom: -3100

***

Record 3
First-principles (meta-GGA r2SCAN) data for an optimized crystal structure of LiPF6, as listed in the Materials Project.

abc: 4.994 4.994 4.994
angles: 57.48 57.48 57.48
Atoms (fractional coordinates):
F: 0.781 0.117 0.326
Li: 0.500 0.500 0.500
F: 0.326 0.781 0.117
F: 0.883 0.674 0.219
F: 0.674 0.219 0.883
F: 0.219 0.883 0.674
F: 0.117 0.326 0.781
P: 0.000 0.000 0.000

Output
Crystal system: trigonal
Energy relative to the elements in meV/atom: -2923

***

Record 4
First-principles (meta-GGA r2SCAN) data for an optimized crystal structure of Li2RhF6, as listed in the Materials Project.

abc: 4.587 4.587 9.006
angles: 90.00 90.00 90.00
Atoms (fractional coordinates):
Li: 0.000 0.000 0.666
Li: 0.500 0.500 0.834
F: 0.697 0.697 0.339
F: 0.197 0.803 0.839
F: 0.303 0.303 0.339
Li: 0.000 0.000 0.334
F: 0.803 0.197 0.161
F: 0.206 0.794 0.500
F: 0.303 0.303 0.661
F: 0.697 0.697 0.661
Li: 0.500 0.500 0.166
Rh: 0.000 0.000 0.000
F: 0.803 0.197 0.839
Rh: 0.500 0.500 0.500
F: 0.706 0.706 0.000
F: 0.197 0.803 0.161
F: 0.294 0.294 0.000
F: 0.794 0.206 0.500

Output
Crystal system: tetragonal
Energy relative to the elements in meV/atom: -2416

***

Record 5
First-principles (meta-GGA r2SCAN) data for an optimized crystal structure of Li2RuF6, as listed in the Materials Project.

abc: 4.580 4.579 9.094
angles: 90.00 90.00 90.00
Atoms (fractional coordinates):
F: 0.293 0.293 0.000
F: 0.697 0.697 0.338
F: 0.803 0.197 0.162
Li: 0.500 0.500 0.168
F: 0.197 0.803 0.162
F: 0.697 0.697 0.662
F: 0.803 0.197 0.838
F: 0.197 0.803 0.838
F: 0.303 0.303 0.662
Li: 0.500 0.500 0.832
F: 0.207 0.793 0.500
F: 0.793 0.207 0.500
Ru: 0.000 0.000 0.000
Ru: 0.500 0.500 0.500
F: 0.303 0.303 0.338
Li: 0.000 0.000 0.669
Li: 0.000 0.000 0.331
F: 0.707 0.707 0.000

Output
Crystal system: tetragonal
Energy relative to the elements in meV/atom: -2560

***

Record 6
First-principles (meta-GGA r2SCAN) data for an optimized crystal structure of LiSb2F7, as listed in the Materials Project.

abc: 4.695 8.568 14.309
angles: 90.00 90.00 90.00
Atoms (fractional coordinates):
F: 0.555 0.695 0.848
Sb: 0.206 0.611 0.099
F: 0.113 0.498 0.657
F: 0.906 0.651 0.501
F: 0.406 0.849 0.499
Sb: 0.706 0.889 0.599
F: 0.859 0.908 0.750
Li: 0.636 0.425 0.250
F: 0.945 0.195 0.652
F: 0.094 0.349 0.499
F: 0.594 0.151 0.501
F: 0.555 0.695 0.652
F: 0.141 0.092 0.250
F: 0.387 0.998 0.843
F: 0.445 0.305 0.348
F: 0.594 0.151 0.999
F: 0.055 0.805 0.348
Sb: 0.294 0.111 0.099
F: 0.445 0.305 0.152
Li: 0.864 0.925 0.250
Li: 0.364 0.575 0.750
F: 0.887 0.502 0.157
F: 0.906 0.651 0.999
F: 0.613 0.002 0.157
F: 0.641 0.408 0.750
F: 0.613 0.002 0.343
Sb: 0.706 0.889 0.901
Li: 0.136 0.075 0.750
Sb: 0.794 0.389 0.901
F: 0.945 0.195 0.848
F: 0.113 0.498 0.843
F: 0.406 0.849 0.001
F: 0.387 0.998 0.657
F: 0.094 0.349 0.001
F: 0.055 0.805 0.152
Sb: 0.794 0.389 0.599
F: 0.887 0.502 0.343
Sb: 0.206 0.611 0.401
Sb: 0.294 0.111 0.401
F: 0.359 0.592 0.250

Output
Crystal system: orthorhombic
Energy relative to the elements in meV/atom: -2636

***

Record 7
First-principles (meta-GGA r2SCAN) data for an optimized crystal structure of Li2SiF6, as listed in the Materials Project.

abc: 8.129 8.129 4.473
angles: 90.00 90.00 120.00
Atoms (fractional coordinates):
F: 0.225 0.756 0.704
F: 0.775 0.532 0.296
F: 0.554 0.136 0.728
F: 0.582 0.446 0.728
F: 0.897 0.095 0.785
Li: 0.632 0.000 0.000
Si: 0.667 0.333 0.512
Si: 0.000 0.000 0.000
Si: 0.333 0.667 0.488
F: 0.864 0.418 0.728
F: 0.136 0.554 0.272
F: 0.095 0.897 0.215
F: 0.198 0.103 0.785
F: 0.103 0.198 0.215
Li: 0.000 0.297 0.500
F: 0.446 0.582 0.272
F: 0.756 0.225 0.296
F: 0.418 0.864 0.272
Li: 0.297 0.000 0.500
F: 0.905 0.802 0.785
F: 0.532 0.775 0.704
Li: 0.703 0.703 0.500
F: 0.468 0.243 0.296
F: 0.802 0.905 0.215
F: 0.243 0.468 0.704
Li: 0.368 0.368 0.000
Li: 0.000 0.632 0.000

Output
Crystal system: trigonal
Energy relative to the elements in meV/atom: -3366

***

Record 8
First-principles (meta-GGA r2SCAN) data for an optimized crystal structure of Li2SnF6, as listed in the Materials Project.

abc: 4.910 4.910 4.538
angles: 90.00 90.00 120.00
Atoms (fractional coordinates):
F: 0.000 0.671 0.255
F: 0.671 0.000 0.255
F: 0.329 0.000 0.745
F: 0.671 0.671 0.745
Li: 0.333 0.667 0.500
Sn: 0.000 0.000 0.000
F: 0.000 0.329 0.745
F: 0.329 0.329 0.255
Li: 0.667 0.333 0.500

Output
Crystal system: trigonal
Energy relative to the elements in meV/atom: -2977

***

Record 9
First-principles (meta-GGA r2SCAN) data for an optimized crystal structure of Li2TbF6, as listed in the Materials Project.

abc: 4.248 7.687 12.195
angles: 104.41 90.00 90.00
Atoms (fractional coordinates):
Tb: 0.036 0.252 0.497
F: 0.261 0.023 0.060
Li: 0.080 0.372 0.809
F: 0.329 0.117 0.815
Tb: 0.964 0.748 0.503
F: 0.279 0.754 0.826
F: 0.829 0.883 0.685
F: 0.453 0.697 0.550
F: 0.629 0.616 0.332
F: 0.739 0.977 0.940
Li: 0.420 0.372 0.309
F: 0.129 0.384 0.168
Tb: 0.536 0.748 0.003
F: 0.547 0.303 0.450
Li: 0.981 0.051 0.178
F: 0.779 0.246 0.674
Li: 0.580 0.628 0.691
F: 0.761 0.977 0.440
F: 0.171 0.117 0.315
F: 0.047 0.697 0.050
F: 0.221 0.754 0.326
Li: 0.019 0.949 0.822
Li: 0.920 0.628 0.191
Tb: 0.464 0.252 0.997
F: 0.445 0.467 0.895
F: 0.871 0.616 0.832
Li: 0.481 0.949 0.322
F: 0.371 0.384 0.668
F: 0.953 0.303 0.950
F: 0.555 0.533 0.105
F: 0.945 0.533 0.605
F: 0.671 0.883 0.185
F: 0.721 0.246 0.174
Li: 0.519 0.051 0.678
F: 0.055 0.467 0.395
F: 0.239 0.023 0.560

Output
Crystal system: monoclinic
Energy relative to the elements in meV/atom: -3353

***

Record 10
First-principles (meta-GGA r2SCAN) data for an optimized crystal structure of LiThF5, as listed in the Materials Project.

abc: 11.163 11.163 11.163
angles: 94.97 94.97 145.76
Atoms (fractional coordinates):
Th: 0.815 0.069 0.133
F: 0.165 0.437 0.866
F: 0.433 0.408 0.127
F: 0.554 0.712 0.765
F: 0.397 0.442 0.360
Th: 0.931 0.064 0.746
F: 0.556 0.183 0.525
F: 0.563 0.430 0.729
Th: 0.435 0.681 0.367
F: 0.680 0.451 0.366
Li: 0.958 0.320 0.480
F: 0.969 0.444 0.627
F: 0.287 0.147 0.455
F: 0.305 0.634 0.540
Li: 0.411 0.272 0.980
Li: 0.522 0.042 0.361
F: 0.281 0.306 0.873
F: 0.288 0.053 0.841
F: 0.592 0.719 0.025
Th: 0.319 0.686 0.754
F: 0.015 0.055 0.172
F: 0.168 0.713 0.860
F: 0.157 0.985 0.040
F: 0.212 0.446 0.159
F: 0.366 0.907 0.672
F: 0.235 0.695 0.328
Li: 0.292 0.430 0.020
F: 0.947 0.788 0.235
F: 0.549 0.915 0.229
F: 0.962 0.697 0.659
Th: 0.936 0.682 0.867
Li: 0.728 0.708 0.139
F: 0.701 0.835 0.271
F: 0.945 0.116 0.960
F: 0.963 0.603 0.045
F: 0.558 0.918 0.955
F: 0.082 0.037 0.640
F: 0.303 0.962 0.265
F: 0.692 0.832 0.545
F: 0.085 0.313 0.634
Th: 0.318 0.185 0.254
F: 0.658 0.031 0.475
Li: 0.839 0.478 0.520
F: 0.694 0.567 0.975
F: 0.696 0.038 0.735
F: 0.570 0.299 0.134
Li: 0.570 0.589 0.861
F: 0.093 0.765 0.460
Th: 0.932 0.565 0.246
F: 0.853 0.308 0.140
F: 0.038 0.304 0.341
F: 0.884 0.843 0.828
F: 0.687 0.320 0.771
F: 0.817 0.342 0.373
Th: 0.314 0.068 0.633
Li: 0.680 0.161 0.639

Output
Crystal system: tetragonal
Energy relative to the elements in meV/atom: -4094